[1]
DFT (GGA+U) results for an optimized crystal structure of VF4.

Unit cell a=3.0809 b=4.9843 c=9.6824 alpha=90.00 beta=90.00 gamma=90.00
Fractional coordinates of all 10 atoms:
V 0.0000 0.5000 0.5000
F 0.0000 0.7314 0.3612
V 0.0000 0.0000 0.0000
F 0.5000 0.8098 0.0832
F 0.5000 0.6902 0.5832
F 0.0000 0.2314 0.1388
F 0.0000 0.7686 0.8612
F 0.5000 0.1902 0.9168
F 0.0000 0.2686 0.6388
F 0.5000 0.3098 0.4168

Output
E (MP2020)	-6.3121	eV per atom
formation energy from the elements	-2.96	eV per atom



[2]
DFT (GGA+U) results for an optimized crystal structure of VF4.

Unit cell a=7.6745 b=7.6745 c=7.6745 alpha=96.25 beta=96.25 gamma=96.25
Fractional coordinates of all 30 atoms:
V 0.8137 0.5493 0.9196
F 0.3572 0.9145 0.9672
F 0.3128 0.2447 0.0530
V 0.0804 0.1863 0.4507
F 0.0855 0.0328 0.6428
F 0.7553 0.9470 0.6872
V 0.1863 0.4507 0.0804
F 0.9145 0.9672 0.3572
F 0.0530 0.3128 0.2447
F 0.9015 0.2834 0.5279
F 0.2668 0.3263 0.5540
F 0.5540 0.2668 0.3263
F 0.2447 0.0530 0.3128
F 0.4460 0.7332 0.6737
V 0.4507 0.0804 0.1863
F 0.5279 0.9015 0.2834
F 0.7332 0.6737 0.4460
F 0.7166 0.4721 0.0985
F 0.4721 0.0985 0.7166
F 0.2834 0.5279 0.9015
V 0.9196 0.8137 0.5493
F 0.6428 0.0855 0.0328
F 0.6872 0.7553 0.9470
F 0.0328 0.6428 0.0855
F 0.3263 0.5540 0.2668
F 0.0985 0.7166 0.4721
F 0.6737 0.4460 0.7332
V 0.5493 0.9196 0.8137
F 0.9470 0.6872 0.7553
F 0.9672 0.3572 0.9145

Output
E (MP2020)	-6.3072	eV per atom
formation energy from the elements	-2.96	eV per atom



[3]
DFT (GGA+U) results for an optimized crystal structure of VF4.

Unit cell a=5.1040 b=5.9224 c=9.6958 alpha=87.80 beta=90.00 gamma=90.00
Fractional coordinates of all 20 atoms:
V 0.5212 0.3585 0.8656
F 0.1166 0.3451 0.5556
F 0.6166 0.6549 0.9444
F 0.7002 0.4604 0.7007
F 0.3183 0.7620 0.5710
F 0.6451 0.8792 0.1894
F 0.2002 0.5396 0.7993
F 0.3549 0.1208 0.8106
F 0.6817 0.2380 0.4290
F 0.2998 0.5396 0.2993
F 0.1817 0.7620 0.0710
F 0.1451 0.1208 0.3106
V 0.9788 0.3585 0.3656
V 0.4788 0.6415 0.1344
V 0.0212 0.6415 0.6344
F 0.8834 0.6549 0.4444
F 0.3834 0.3451 0.0556
F 0.8183 0.2380 0.9290
F 0.8549 0.8792 0.6894
F 0.7998 0.4604 0.2007

Output
E (MP2020)	-6.3127	eV per atom
formation energy from the elements	-2.96	eV per atom



[4]
DFT (GGA+U) results for an optimized crystal structure of VF3.

Unit cell a=9.5988 b=7.4979 c=5.4587 alpha=136.17 beta=151.55 gamma=34.86
Fractional coordinates of all 8 atoms:
F 0.9000 0.8586 0.3981
F 0.5020 0.3586 0.6019
F 0.8763 0.7500 0.7525
F 0.4980 0.6414 0.3981
F 0.1237 0.2500 0.2475
V 0.0000 0.5000 0.0000
F 0.1000 0.1414 0.6019
V 0.0000 0.0000 0.0000

Output
E (MP2020)	-6.9237	eV per atom
formation energy from the elements	-3.22	eV per atom